Version one
## Sr5Nb4O15 (r²SCAN)

Data for an optimized crystal structure of Sr5Nb4O15.

Values from the calculation:
space-group type: No. 165

The structure in POSCAR format:
```
Sr5Nb4O15
1.0
5.7080 0.0000 0.0000
-2.8540 4.9433 0.0000
0.0000 0.0000 23.0544
Sr Nb O
10 8 30
direct
0.0000 0.0000 0.2500
0.0000 0.0000 0.7500
0.3333 0.6667 0.1410
0.3333 0.6667 0.4706
0.3333 0.6667 0.6410
0.3333 0.6667 0.9706
0.6667 0.3333 0.0294
0.6667 0.3333 0.3590
0.6667 0.3333 0.5294
0.6667 0.3333 0.8590
0.0000 0.0000 0.0904
0.0000 0.0000 0.4096
0.0000 0.0000 0.5904
0.0000 0.0000 0.9096
0.3333 0.6667 0.3028
0.3333 0.6667 0.8028
0.6667 0.3333 0.1972
0.6667 0.3333 0.6972
0.0000 0.4532 0.2500
0.0000 0.5468 0.7500
0.0997 0.3338 0.0552
0.0997 0.7658 0.5552
0.1152 0.3308 0.8463
0.1152 0.7844 0.3463
0.2156 0.3308 0.3463
0.2156 0.8848 0.8463
0.2342 0.3338 0.5552
0.2342 0.9003 0.0552
0.3308 0.1152 0.6537
0.3308 0.2156 0.1537
0.3338 0.0997 0.4448
0.3338 0.2342 0.9448
0.4532 0.0000 0.2500
0.4532 0.4532 0.7500
0.5468 0.0000 0.7500
0.5468 0.5468 0.2500
0.6662 0.7658 0.0552
0.6662 0.9003 0.5552
0.6692 0.7844 0.8463
0.6692 0.8848 0.3463
0.7658 0.0997 0.9448
0.7658 0.6662 0.4448
0.7844 0.1152 0.1537
0.7844 0.6692 0.6537
0.8848 0.2156 0.6537
0.8848 0.6692 0.1537
0.9003 0.2342 0.4448
0.9003 0.6662 0.9448
```

=====

Version two
## Sr5Nb4O15 (r²SCAN)

Data for an optimized crystal structure of Sr5Nb4O15.

Values from the calculation:
space-group type: No. 12

The structure in POSCAR format:
```
Sr5Nb4O15
1.0
4.9434 -2.8501 0.0000
4.9434 2.8501 0.0000
-0.0518 0.0000 11.5664
Sr Nb O
5 4 15
direct
0.0000 0.0000 0.0000
0.3324 0.3324 0.4378
0.3336 0.3336 0.7805
0.6664 0.6664 0.2195
0.6676 0.6676 0.5622
0.0003 0.0003 0.3214
0.9997 0.9997 0.6786
0.3341 0.3341 0.1061
0.6659 0.6659 0.8939
0.0000 0.5000 0.0000
0.1669 0.6735 0.1933
0.1679 0.1679 0.1960
0.1695 0.6594 0.6070
0.1697 0.1697 0.6082
0.3265 0.8331 0.8067
0.3406 0.8305 0.3930
0.5000 0.0000 0.0000
0.5000 0.5000 0.0000
0.6594 0.1695 0.6070
0.6735 0.1669 0.1933
0.8303 0.8303 0.3918
0.8305 0.3406 0.3930
0.8321 0.8321 0.8040
0.8331 0.3265 0.8067
```

=====

Stability summary: most stable version one, least stable version two.

=====

Version one
## Nd (r²SCAN)

Data for an optimized crystal structure of Nd.

Values from the calculation:
space-group type: No. 229

The structure in POSCAR format:
```
Nd
1.0
-2.0755 2.0755 2.0755
2.0755 -2.0755 2.0755
2.0755 2.0755 -2.0755
Nd
1
direct
0.0000 0.0000 0.0000
```

=====

Version two
## Nd (r²SCAN)

Data for an optimized crystal structure of Nd.

Values from the calculation:
space-group type: No. 194

The structure in POSCAR format:
```
Nd
1.0
3.7101 0.0000 0.0000
-1.8550 3.2130 0.0000
0.0000 0.0000 11.8992
Nd
4
direct
0.0000 0.0000 0.0000
0.0000 0.0000 0.5000
0.3333 0.6667 0.2500
0.6667 0.3333 0.7500
```

=====

Version three
## Nd (r²SCAN)

Data for an optimized crystal structure of Nd.

Values from the calculation:
space-group type: No. 166

The structure in POSCAR format:
```
Nd
1.0
1.8643 1.0763 8.8967
-1.8643 1.0763 8.8967
0.0000 -2.1527 8.8967
Nd
3
direct
0.0000 0.0000 0.0000
0.2225 0.2225 0.2225
0.7775 0.7775 0.7775
```

=====

Stability summary: most stable version two, least stable version one.

=====

Version one
## PrNd (r²SCAN)

Data for an optimized crystal structure of PrNd.

Values from the calculation:
space-group type: No. 187

The structure in POSCAR format:
```
PrNd
1.0
3.7741 0.0000 0.0000
-1.8871 3.2685 0.0000
0.0000 0.0000 5.9076
Pr Nd
1 1
direct
0.0000 0.0000 0.0000
0.3333 0.6667 0.5000
```

=====

Version two
## PrNd (r²SCAN)

Data for an optimized crystal structure of PrNd.

Values from the calculation:
space-group type: No. 194

The structure in POSCAR format:
```
PrNd
1.0
3.7296 0.0000 0.0000
-1.8648 3.2300 0.0000
0.0000 0.0000 11.9455
Pr Nd
2 2
direct
0.0000 0.0000 0.0000
0.0000 0.0000 0.5000
0.3333 0.6667 0.2500
0.6667 0.3333 0.7500
```

=====

Stability summary: most stable version two, least stable version one.

=====

Version one
## Nd5Si3 (r²SCAN)

Data for an optimized crystal structure of Nd5Si3.

Values from the calculation:
space-group type: No. 193

The structure in POSCAR format:
```
Nd5Si3
1.0
8.7847 0.0000 0.0000
-4.3924 7.6078 0.0000
0.0000 0.0000 6.7099
Nd Si
10 6
direct
0.0000 0.2470 0.2500
0.0000 0.7530 0.7500
0.2470 0.0000 0.2500
0.2470 0.2470 0.7500
0.3333 0.6667 0.0000
0.3333 0.6667 0.5000
0.6667 0.3333 0.0000
0.6667 0.3333 0.5000
0.7530 0.0000 0.7500
0.7530 0.7530 0.2500
0.0000 0.3926 0.7500
0.0000 0.6074 0.2500
0.3926 0.0000 0.7500
0.3926 0.3926 0.2500
0.6074 0.0000 0.2500
0.6074 0.6074 0.7500
```

=====

Version two
## Nd5Si3 (r²SCAN)

Data for an optimized crystal structure of Nd5Si3.

Values from the calculation:
space-group type: No. 140

The structure in POSCAR format:
```
Nd5Si3
1.0
-3.9129 3.9129 6.9623
3.9129 -3.9129 6.9623
3.9129 3.9129 -6.9623
Nd Si
10 6
direct
0.0000 0.0000 0.0000
0.0318 0.5318 0.8555
0.1764 0.0318 0.5000
0.3236 0.8236 0.8555
0.4682 0.3236 0.5000
0.5000 0.5000 0.0000
0.5318 0.6764 0.5000
0.6764 0.1764 0.1445
0.8236 0.9682 0.5000
0.9682 0.4682 0.1445
0.1140 0.3860 0.5000
0.2500 0.2500 0.0000
0.3860 0.8860 0.2719
0.6140 0.1140 0.7281
0.7500 0.7500 0.0000
0.8860 0.6140 0.5000
```

=====

Stability summary: most stable version two, least stable version one.

=====

Version one
## NdTm3 (r²SCAN)

Data for an optimized crystal structure of NdTm3.

Values from the calculation:
space-group type: No. 194

The structure in POSCAR format:
```
NdTm3
1.0
7.1890 0.0000 0.0000
-3.5945 6.2259 0.0000
0.0000 0.0000 5.7346
Nd Tm
2 6
direct
0.3333 0.6667 0.2500
0.6667 0.3333 0.7500
0.1643 0.3286 0.7500
0.1643 0.8357 0.7500
0.3286 0.1643 0.2500
0.6714 0.8357 0.7500
0.8357 0.1643 0.2500
0.8357 0.6714 0.2500
```

=====

Version two
## NdTm3 (r²SCAN)

Data for an optimized crystal structure of NdTm3.

Values from the calculation:
space-group type: No. 221

The structure in POSCAR format:
```
NdTm3
1.0
5.0102 0.0000 0.0000
0.0000 5.0102 0.0000
0.0000 0.0000 5.0102
Nd Tm
1 3
direct
0.0000 0.0000 0.0000
0.0000 0.5000 0.5000
0.5000 0.0000 0.5000
0.5000 0.5000 0.0000
```

=====

Stability summary: most stable version one, least stable version two.

=====

Version one
## Nd3Y (r²SCAN)

Data for an optimized crystal structure of Nd3Y.

Values from the calculation:
space-group type: No. 187

The structure in POSCAR format:
```
Nd3Y
1.0
3.6807 0.0000 0.0000
-1.8404 3.1876 0.0000
0.0000 0.0000 11.8351
Nd Y
3 1
direct
0.0000 0.0000 0.0000
0.6667 0.3333 0.2534
0.6667 0.3333 0.7466
0.3333 0.6667 0.5000
```

=====

Version two
## Nd3Y (r²SCAN)

Data for an optimized crystal structure of Nd3Y.

Values from the calculation:
space-group type: No. 194

The structure in POSCAR format:
```
Nd3Y
1.0
7.4627 0.0000 0.0000
-3.7313 6.4629 0.0000
0.0000 0.0000 5.9047
Nd Y
6 2
direct
0.1676 0.3352 0.2500
0.1676 0.8324 0.2500
0.3352 0.1676 0.7500
0.6648 0.8324 0.2500
0.8324 0.1676 0.7500
0.8324 0.6648 0.7500
0.3333 0.6667 0.7500
0.6667 0.3333 0.2500
```

=====

Stability summary: most stable version one, least stable version two.

=====

Version one
## Ni2P2O7 (r²SCAN)

Data for an optimized crystal structure of Ni2P2O7.

Values from the calculation:
space-group type: No. 14

The structure in POSCAR format:
```
Ni2P2O7
1.0
4.4552 0.0000 0.0000
0.0000 9.8551 0.0000
-0.6600 0.0000 5.1451
Ni P O
4 4 14
direct
0.0969 0.1564 0.4180
0.0969 0.3436 0.9180
0.9031 0.6564 0.0820
0.9031 0.8436 0.5820
0.3577 0.6120 0.6575
0.3577 0.8880 0.1575
0.6423 0.1120 0.8425
0.6423 0.3880 0.3425
0.1178 0.6787 0.4630
0.1178 0.8213 0.9630
0.2139 0.5424 0.8740
0.2139 0.9576 0.3740
0.3827 0.2051 0.7394
0.3827 0.2949 0.2394
0.5000 0.0000 0.0000
0.5000 0.5000 0.5000
0.6173 0.7051 0.7606
0.6173 0.7949 0.2606
0.7861 0.0424 0.6260
0.7861 0.4576 0.1260
0.8822 0.1787 0.0370
0.8822 0.3213 0.5370
```

=====

Version two
## Ni2P2O7 (r²SCAN)

Data for an optimized crystal structure of Ni2P2O7.

The structure in POSCAR format:
```
Ni2P2O7
1.0
-2.9469 -4.1209 1.2067
4.0723 -0.3564 3.2266
-4.5928 6.1296 4.5360
O P Ni
14 4 4
direct
0.0000 0.0000 0.5000
0.6155 0.9245 0.6387
0.3799 0.3799 0.1088
0.9244 0.6155 0.6387
0.9244 0.6155 0.1387
0.0756 0.3845 0.3613
0.6201 0.6201 0.3912
0.3845 0.0755 0.8613
0.3845 0.0755 0.3613
0.6201 0.6201 0.8912
0.0000 0.0000 0.0000
0.6155 0.9245 0.1387
0.3799 0.3799 0.6088
0.0756 0.3845 0.8613
0.2209 0.2209 0.9539
0.2209 0.2209 0.4539
0.7791 0.7791 0.5461
0.7791 0.7791 0.0461
0.6867 0.3133 0.7500
0.6867 0.3133 0.2500
0.3133 0.6867 0.2500
0.3133 0.6867 0.7500
```

=====

Stability summary: most stable version one, least stable version two.

=====

Version one
## Ni3Pb2S2 (r²SCAN)

Data for an optimized crystal structure of Ni3Pb2S2.

Values from the calculation:
space-group type: No. 199

The structure in POSCAR format:
```
Ni3Pb2S2
1.0
-4.0150 4.0150 4.0150
4.0150 -4.0150 4.0150
4.0150 4.0150 -4.0150
Ni Pb S
6 4 4
direct
0.0084 0.2500 0.2584
0.2416 0.4916 0.7500
0.2500 0.2584 0.0084
0.2584 0.0084 0.2500
0.4916 0.7500 0.2416
0.7500 0.2416 0.4916
0.0000 0.9928 0.5000
0.5000 0.0000 0.9928
0.5072 0.5072 0.5072
0.9928 0.5000 0.0000
0.0000 0.5300 0.5000
0.5000 0.0000 0.5300
0.5300 0.5000 0.0000
0.9700 0.9700 0.9700
```

=====

Version two
## Ni3Pb2S2 (r²SCAN)

Data for an optimized crystal structure of Ni3Pb2S2.

Values from the calculation:
space-group type: No. 166

The structure in POSCAR format:
```
Ni3Pb2S2
1.0
2.8160 1.6258 4.5330
-2.8160 1.6258 4.5330
0.0000 -3.2517 4.5330
Ni Pb S
3 2 2
direct
0.0000 0.5000 0.5000
0.5000 0.0000 0.5000
0.5000 0.5000 0.0000
0.0000 0.0000 0.0000
0.5000 0.5000 0.5000
0.2280 0.2280 0.2280
0.7720 0.7720 0.7720
```

=====

Stability summary: most stable version two, least stable version one.